# Sm2Ge5Ir3 | the Materials Project | r2SCAN | optimized geometry
# - electronic total energy (eV per atom) = -29.419
# - total moment (μB/f.u.) = 0.0
# - calculated formation energy (eV/atom) = -0.83
data_Sm2Ge5Ir3
_chemical_formula_sum 'Sm8 Ge20 Ir12'
_space_group_name_H-M_alt 'I b a m'
_space_group_IT_number 72
_space_group_name_Hall '-I 2 2c'
_cell_length_a 10.2039
_cell_length_b 11.8287
_cell_length_c 6.0551
_cell_angle_alpha 90.00
_cell_angle_beta 90.00
_cell_angle_gamma 90.00
loop_
_atom_site_label
_atom_site_fract_x
_atom_site_fract_y
_atom_site_fract_z
Sm1 0.2270 0.1325 0.0000
Ge1 0.0000 0.0000 0.2500
Ge2 0.0000 0.2754 0.2500
Ge3 0.1596 0.4000 0.0000
Ir1 0.0000 0.5000 0.2500
Ir2 0.1109 0.1413 0.5000


# SrGe3Ir | the Materials Project | r2SCAN | optimized geometry
# - electronic total energy (eV per atom) = -22.406
# - total moment (μB/f.u.) = 0.0
# - calculated formation energy (eV/atom) = -0.58
data_SrGe3Ir
_chemical_formula_sum 'Sr2 Ge6 Ir2'
_space_group_name_H-M_alt 'I 4 m m'
_space_group_IT_number 107
_space_group_name_Hall 'I 4 -2'
_cell_length_a 4.4795
_cell_length_b 4.4795
_cell_length_c 10.1083
_cell_angle_alpha 90.00
_cell_angle_beta 90.00
_cell_angle_gamma 90.00
loop_
_atom_site_label
_atom_site_fract_x
_atom_site_fract_y
_atom_site_fract_z
Sr1 0.0000 0.0000 0.0000
Ge1 0.0000 0.0000 0.4117
Ge2 0.0000 0.5000 0.2539
Ir1 0.0000 0.0000 0.6496


# TbGe2Ir | the Materials Project | r2SCAN | optimized geometry
# - electronic total energy (eV per atom) = -28.735
# - total moment (μB/f.u.) = 0.0
# - calculated formation energy (eV/atom) = -0.90
data_TbGe2Ir
_chemical_formula_sum 'Tb8 Ge16 Ir8'
_space_group_name_H-M_alt 'I m m m'
_space_group_IT_number 71
_space_group_name_Hall '-I 2 2'
_cell_length_a 4.2707
_cell_length_b 8.8496
_cell_length_c 16.0750
_cell_angle_alpha 90.00
_cell_angle_beta 90.00
_cell_angle_gamma 90.00
loop_
_atom_site_label
_atom_site_fract_x
_atom_site_fract_y
_atom_site_fract_z
Tb1 0.0000 0.0000 0.2057
Tb2 0.0000 0.2381 0.0000
Ge1 0.0000 0.0000 0.4227
Ge2 0.0000 0.3465 0.2010
Ge3 0.0000 0.5000 0.4231
Ir1 0.0000 0.2483 0.3546


# Tb5Ge10Ir4 | the Materials Project | r2SCAN | optimized geometry
# - electronic total energy (eV per atom) = -27.408
# - total moment (μB/f.u.) = 0.0
# - calculated formation energy (eV/atom) = -0.87
data_Tb5Ge10Ir4
_chemical_formula_sum 'Tb10 Ge20 Ir8'
_space_group_name_H-M_alt 'P 4/m b m'
_space_group_IT_number 127
_space_group_name_Hall '-P 4 2ab'
_cell_length_a 12.9687
_cell_length_b 12.9687
_cell_length_c 4.3341
_cell_angle_alpha 90.00
_cell_angle_beta 90.00
_cell_angle_gamma 90.00
loop_
_atom_site_label
_atom_site_fract_x
_atom_site_fract_y
_atom_site_fract_z
Tb1 0.0000 0.0000 0.0000
Tb2 0.1146 0.3854 0.5000
Tb3 0.1740 0.6740 0.5000
Ge1 0.0046 0.8431 0.5000
Ge2 0.0675 0.5675 0.0000
Ge3 0.1638 0.2006 0.0000
Ir1 0.0200 0.7548 0.0000


Number 1 is which compound?
Sm2Ge5Ir3


electronic total energy of number 1 (Sm2Ge5Ir3)?
-29.419 eV per atom


The lowest electronic total energy belongs to which entry?
Sm2Ge5Ir3